DFT (PBE) results for a relaxed structure of Cd3P2O8.

Computed properties:
Its crystal system is orthorhombic. For the relative energy among the computed polymorphs, the calculation gives 20 meV per atom. As for the total energy: -5.90 eV/atom.

Geometry as POSCAR:
```
Cd3P2O8
1.0
-7.817 -3.276 4.806
7.749 -4.560 3.754
0.822 5.694 5.218
Cd P O
12 8 32
Direct
0.892 0.108 0.000 Cd
0.608 0.392 0.500 Cd
0.108 0.892 0.000 Cd
0.392 0.608 0.500 Cd
0.311 0.031 0.443 Cd
0.189 0.469 0.943 Cd
0.531 0.811 0.057 Cd
0.969 0.689 0.557 Cd
0.689 0.969 0.557 Cd
0.811 0.531 0.057 Cd
0.469 0.189 0.943 Cd
0.031 0.311 0.443 Cd
0.819 0.819 0.291 P
0.681 0.681 0.791 P
0.319 0.319 0.209 P
0.181 0.181 0.709 P
0.813 0.313 0.750 P
0.687 0.187 0.250 P
0.187 0.687 0.250 P
0.313 0.813 0.750 P
0.898 0.898 0.127 O
0.602 0.602 0.627 O
0.398 0.398 0.373 O
0.102 0.102 0.873 O
0.883 0.883 0.466 O
0.617 0.617 0.966 O
0.383 0.383 0.034 O
0.117 0.117 0.534 O
0.902 0.374 0.915 O
0.598 0.126 0.415 O
0.874 0.402 0.585 O
0.626 0.098 0.085 O
0.098 0.626 0.085 O
0.402 0.874 0.585 O
0.126 0.598 0.415 O
0.374 0.902 0.915 O
0.820 0.156 0.731 O
0.680 0.344 0.231 O
0.656 0.320 0.769 O
0.844 0.180 0.269 O
0.171 0.338 0.709 O
0.329 0.162 0.209 O
0.838 0.671 0.791 O
0.662 0.829 0.291 O
0.829 0.662 0.291 O
0.671 0.838 0.791 O
0.162 0.329 0.209 O
0.338 0.171 0.709 O
0.156 0.820 0.731 O
0.344 0.680 0.231 O
0.320 0.656 0.769 O
0.180 0.844 0.269 O
```

=====

DFT (PBE) results for a relaxed structure of Li3Ti2P3O12.

Computed properties:
Its crystal system is monoclinic. For the relative energy among the computed polymorphs, the calculation gives 0 meV per atom. As for the total energy: -7.32 eV/atom.

Geometry as POSCAR:
```
Li3Ti2P3O12
1.0
8.791 0.000 0.000
0.000 8.829 0.000
0.000 8.641 12.223
Li Ti P O
12 8 12 48
Direct
0.420 0.381 0.197 Li
0.224 0.972 0.822 Li
0.724 0.028 0.678 Li
0.799 0.327 0.258 Li
0.776 0.028 0.178 Li
0.080 0.381 0.697 Li
0.920 0.619 0.303 Li
0.299 0.673 0.242 Li
0.580 0.619 0.803 Li
0.201 0.673 0.742 Li
0.701 0.327 0.758 Li
0.276 0.972 0.322 Li
0.040 0.137 0.608 Ti
0.960 0.863 0.392 Ti
0.026 0.363 0.892 Ti
0.974 0.637 0.108 Ti
0.460 0.137 0.108 Ti
0.526 0.637 0.608 Ti
0.540 0.863 0.892 Ti
0.474 0.363 0.392 Ti
0.883 0.747 0.650 P
0.753 0.456 0.508 P
0.253 0.544 0.992 P
0.247 0.544 0.492 P
0.397 0.955 0.650 P
0.617 0.747 0.150 P
0.383 0.253 0.850 P
0.897 0.045 0.850 P
0.603 0.045 0.350 P
0.103 0.955 0.150 P
0.747 0.456 0.008 P
0.117 0.253 0.350 P
0.406 0.099 0.833 O
0.687 0.474 0.597 O
0.611 0.224 0.349 O
0.589 0.823 0.028 O
0.813 0.474 0.097 O
0.557 0.872 0.460 O
0.634 0.613 0.932 O
0.330 0.737 0.934 O
0.372 0.535 0.568 O
0.943 0.872 0.960 O
0.089 0.177 0.472 O
0.094 0.099 0.333 O
0.313 0.526 0.403 O
0.411 0.177 0.972 O
0.503 0.412 0.782 O
0.889 0.224 0.849 O
0.497 0.588 0.218 O
0.020 0.089 0.762 O
0.594 0.901 0.167 O
0.980 0.911 0.238 O
0.134 0.387 0.568 O
0.003 0.588 0.718 O
0.443 0.128 0.540 O
0.872 0.465 0.932 O
0.170 0.737 0.434 O
0.111 0.776 0.151 O
0.911 0.823 0.528 O
0.783 0.674 0.183 O
0.217 0.326 0.817 O
0.906 0.901 0.667 O
0.670 0.263 0.066 O
0.480 0.089 0.262 O
0.187 0.526 0.903 O
0.366 0.387 0.068 O
0.717 0.674 0.683 O
0.057 0.128 0.040 O
0.283 0.326 0.317 O
0.763 0.030 0.312 O
0.520 0.911 0.738 O
0.128 0.535 0.068 O
0.628 0.465 0.432 O
0.830 0.263 0.566 O
0.997 0.412 0.282 O
0.389 0.776 0.651 O
0.263 0.970 0.188 O
0.237 0.970 0.688 O
0.866 0.613 0.432 O
0.737 0.030 0.812 O
```

=====

DFT (PBE) results for a relaxed structure of TbTmO3.

Computed properties:
Its crystal system is orthorhombic. As for the total energy: -8.34 eV/atom.

Geometry as POSCAR:
```
TbTmO3
1.0
-2.112 -3.435 -3.966
4.380 1.554 -3.678
4.674 -6.251 2.925
Tb Tm O
4 4 12
Direct
0.017 0.946 0.750 Tb
0.483 0.446 0.750 Tb
0.517 0.554 0.250 Tb
0.983 0.054 0.250 Tb
0.000 0.500 0.000 Tm
0.000 0.500 0.500 Tm
0.500 0.000 0.000 Tm
0.500 0.000 0.500 Tm
0.144 0.427 0.250 O
0.183 0.186 0.575 O
0.183 0.186 0.925 O
0.317 0.686 0.925 O
0.317 0.686 0.575 O
0.356 0.927 0.250 O
0.644 0.073 0.750 O
0.683 0.314 0.425 O
0.683 0.314 0.075 O
0.817 0.814 0.075 O
0.817 0.814 0.425 O
0.856 0.573 0.750 O
```

=====

DFT (PBE) results for a relaxed structure of TlMo3Br7.

Computed properties:
Its crystal system is orthorhombic. As for the total energy: -4.94 eV/atom.

Geometry as POSCAR:
```
TlMo3Br7
1.0
0.000 14.271 0.000
0.000 0.000 14.282
14.380 0.000 0.000
Tl Mo Br
8 24 56
Direct
0.993 0.503 0.999 Tl
0.993 0.997 0.501 Tl
0.507 0.503 0.501 Tl
0.507 0.997 0.999 Tl
0.750 0.250 0.250 Tl
0.250 0.750 0.250 Tl
0.250 0.250 0.750 Tl
0.250 0.750 0.750 Tl
0.623 0.470 0.959 Mo
0.623 0.030 0.541 Mo
0.877 0.470 0.541 Mo
0.877 0.030 0.959 Mo
0.957 0.622 0.469 Mo
0.543 0.622 0.031 Mo
0.543 0.878 0.469 Mo
0.957 0.878 0.031 Mo
0.470 0.958 0.620 Mo
0.030 0.542 0.620 Mo
0.470 0.542 0.880 Mo
0.030 0.958 0.880 Mo
0.381 0.531 0.042 Mo
0.381 0.969 0.458 Mo
0.119 0.531 0.458 Mo
0.119 0.969 0.042 Mo
0.040 0.380 0.531 Mo
0.460 0.380 0.969 Mo
0.460 0.120 0.531 Mo
0.040 0.120 0.969 Mo
0.532 0.041 0.380 Mo
0.968 0.459 0.380 Mo
0.532 0.459 0.120 Mo
0.968 0.041 0.120 Mo
0.631 0.631 0.870 Br
0.631 0.869 0.630 Br
0.869 0.631 0.630 Br
0.869 0.869 0.870 Br
0.371 0.370 0.129 Br
0.371 0.130 0.371 Br
0.129 0.370 0.371 Br
0.129 0.130 0.129 Br
0.692 0.549 0.109 Br
0.692 0.951 0.391 Br
0.808 0.549 0.391 Br
0.808 0.951 0.109 Br
0.109 0.692 0.546 Br
0.391 0.692 0.954 Br
0.391 0.808 0.546 Br
0.109 0.808 0.954 Br
0.550 0.108 0.690 Br
0.950 0.392 0.690 Br
0.550 0.392 0.810 Br
0.950 0.108 0.810 Br
0.309 0.454 0.892 Br
0.309 0.046 0.608 Br
0.191 0.454 0.608 Br
0.191 0.046 0.892 Br
0.890 0.309 0.455 Br
0.610 0.309 0.045 Br
0.610 0.191 0.455 Br
0.890 0.191 0.045 Br
0.455 0.891 0.309 Br
0.045 0.609 0.309 Br
0.455 0.609 0.191 Br
0.045 0.891 0.191 Br
0.791 0.426 0.904 Br
0.791 0.074 0.596 Br
0.709 0.426 0.596 Br
0.709 0.074 0.904 Br
0.903 0.791 0.426 Br
0.597 0.791 0.074 Br
0.597 0.709 0.426 Br
0.903 0.709 0.074 Br
0.424 0.902 0.790 Br
0.076 0.598 0.790 Br
0.424 0.598 0.710 Br
0.076 0.902 0.710 Br
0.210 0.576 0.098 Br
0.210 0.924 0.402 Br
0.290 0.576 0.402 Br
0.290 0.924 0.098 Br
0.098 0.210 0.576 Br
0.402 0.210 0.924 Br
0.402 0.290 0.576 Br
0.098 0.290 0.924 Br
0.576 0.098 0.210 Br
0.924 0.402 0.210 Br
0.576 0.402 0.290 Br
0.924 0.098 0.290 Br
```

=====

DFT (PBE) results for a relaxed structure of BaTi4O9.

Computed properties:
Its crystal system is orthorhombic. As for the total energy: -8.65 eV/atom.

Geometry as POSCAR:
```
BaTi4O9
1.0
3.820 0.000 0.000
0.000 6.397 0.000
0.000 0.000 14.716
Ba Ti O
2 8 18
Direct
0.000 0.715 0.500 Ba
0.500 0.285 0.000 Ba
0.500 0.252 0.378 Ti
0.000 0.748 0.122 Ti
0.500 0.252 0.622 Ti
0.000 0.748 0.878 Ti
0.500 0.805 0.288 Ti
0.000 0.195 0.212 Ti
0.500 0.805 0.712 Ti
0.000 0.195 0.788 Ti
0.500 0.337 0.500 O
0.000 0.663 0.000 O
0.500 0.563 0.346 O
0.000 0.437 0.154 O
0.500 0.563 0.654 O
0.000 0.437 0.846 O
0.500 0.958 0.401 O
0.000 0.042 0.099 O
0.500 0.958 0.599 O
0.000 0.042 0.901 O
0.000 0.847 0.261 O
0.500 0.153 0.239 O
0.000 0.847 0.739 O
0.500 0.153 0.761 O
0.000 0.260 0.349 O
0.500 0.740 0.151 O
0.000 0.260 0.651 O
0.500 0.740 0.849 O
```

=====

DFT (PBE) results for a relaxed structure of MgZn3Cu2H14S2O18.

Computed properties:
Its crystal system is triclinic. As for the total energy: -5.12 eV/atom.

Geometry as POSCAR:
```
MgZn3Cu2H14S2O18
1.0
5.437 0.207 -0.394
0.231 6.458 -0.825
-0.763 -0.519 11.996
Mg Zn Cu H S O
1 3 2 14 2 18
Direct
0.482 0.748 0.690 Mg
0.006 0.004 0.013 Zn
0.651 0.836 0.447 Zn
0.566 0.345 0.468 Zn
0.108 0.017 0.505 Cu
0.065 0.526 0.504 Cu
0.762 0.347 0.058 H
0.167 0.615 0.957 H
0.598 0.237 0.942 H
0.350 0.720 0.069 H
0.723 0.619 0.865 H
0.192 0.332 0.139 H
0.484 0.749 0.911 H
0.424 0.192 0.091 H
0.943 0.230 0.357 H
0.993 0.827 0.632 H
0.371 0.060 0.323 H
0.723 0.056 0.647 H
0.413 0.578 0.317 H
0.744 0.399 0.667 H
0.127 0.253 0.819 S
0.793 0.717 0.195 S
0.016 0.245 0.699 O
0.881 0.784 0.319 O
0.398 0.273 0.830 O
0.523 0.679 0.182 O
0.006 0.435 0.891 O
0.934 0.521 0.152 O
0.076 0.053 0.857 O
0.832 0.888 0.133 O
0.423 0.077 0.405 O
0.678 0.913 0.617 O
0.445 0.591 0.400 O
0.598 0.467 0.627 O
0.936 0.264 0.439 O
0.149 0.785 0.597 O
0.257 0.746 0.994 O
0.690 0.213 0.018 O
0.610 0.744 0.856 O
0.266 0.187 0.124 O
```